Entry 1:
This record from the Materials Project database describes a geometry-optimized Dy2FeSbO7 structure. The functional is PBE with a Hubbard U.

E (MP2020) (eV/cell): -346.1

Cell: 7.2497 7.3644 10.2966 Å, 90.00 90.00 90.00°
Last column: nearest neighbours and their distance in Å.
Space group Imma (No. 74)
One atom of each set of equivalent atoms:
1 Dy 0.0000 0.0000 0.0000  8 O 2.26-2.52
2 Dy 0.2500 0.2500 0.2500  2 O 2.21
3 Fe 0.2500 0.2500 0.7500  6 O 2.04-2.06
4 Sb 0.0000 0.0000 0.5000  6 O 1.99-2.02
5 O 0.0000 0.2500 0.1268  4 Dy 2.21-2.26
6 O 0.0000 0.2500 0.4201  2 Sb 2.02
7 O 0.0000 0.2500 0.8404  2 Fe 2.04
8 O 0.2049 0.0352 0.6262  1 Sb 1.99, 1 Fe 2.06



Entry 2:
This record from the Materials Project database describes a geometry-optimized SrDyFe4O12 structure. The functional is PBE with a Hubbard U.

E (MP2020) (eV/cell): -258.5

Cell: 7.5856 7.6059 7.6445 Å, 90.00 90.00 90.00°
Last column: nearest neighbours and their distance in Å.
Space group Cmmm (No. 65)
One atom of each set of equivalent atoms:
1 Sr 0.0000 0.0000 0.0000  12 O 2.69-2.91
2 Dy 0.0000 0.5000 0.5000  12 O 2.48-2.69
3 Fe 0.2500 0.2500 0.2492  6 O 1.90-1.92
4 O 0.0000 0.2438 0.2620  2 Fe 1.90
5 O 0.2275 0.5000 0.2671  2 Fe 1.91
6 O 0.2500 0.2500 0.0000  2 Fe 1.91
7 O 0.2500 0.2500 0.5000  2 Fe 1.92



Entry 3:
This record from the Materials Project database describes a geometry-optimized Dy2VFeO6 structure. The functional is PBE with a Hubbard U.

E (MP2020) (eV/cell): -174.2

Cell: 5.2509 5.6822 9.1956 Å, 90.00 124.72 90.00°
Last column: nearest neighbours and their distance in Å.
Space group P2_1/c (No. 14)
One atom of each set of equivalent atoms:
1 Dy 0.2271 0.0732 0.2492  6 O 2.26-2.49
2 V 0.5000 0.0000 0.0000  6 O 2.00-2.08
3 Fe 0.0000 0.0000 0.5000  6 O 1.98-2.04
4 O 0.1340 0.1951 0.9444  1 V 2.02, 1 Fe 2.04
5 O 0.2508 0.6890 0.9447  1 Fe 1.98, 1 V 2.08
6 O 0.3583 0.0395 0.7480  1 Fe 1.98, 1 V 2.00



Entry 4:
This record from the Materials Project database describes a geometry-optimized DyYFe2O6 structure. The functional is PBE with a Hubbard U.

E (MP2020) (eV/cell): -172.2

Cell: 7.7369 5.3555 5.6468 Å, 90.00 90.00 90.00°
Last column: nearest neighbours and their distance in Å.
Space group Pmc2_1 (No. 26)
One atom of each set of equivalent atoms:
1 Dy 0.0000 0.2303 0.0000  6 O 2.24-2.51
2 Y 0.5000 0.2695 0.1327  6 O 2.25-2.52
3 Fe 0.2495 0.2501 0.5664  6 O 2.03-2.06
4 O 0.0000 0.3672 0.6105  2 Fe 2.05, 1 Dy 2.24
5 O 0.1890 0.0559 0.2629  2 Fe 2.03-2.06
6 O 0.3097 0.4437 0.8703  2 Fe 2.03-2.06
7 O 0.5000 0.1343 0.5228  2 Fe 2.05, 1 Y 2.25



Entry 5:
This record from the Materials Project database describes a geometry-optimized Dy2Mo3H2Se2O17 structure. The functional is PBE with a Hubbard U.

E (MP2020) (eV/cell): -391.6

Cell: 6.8639 7.3054 14.3675 Å, 90.00 99.73 90.00°
Last column: nearest neighbours and their distance in Å.
Space group P2_1/m (No. 11)
One atom of each set of equivalent atoms:
1 Dy 0.1128 0.2500 0.0410  8 O 2.33-2.44
2 Dy 0.2443 0.7500 0.3780  6 O 2.18-2.42
3 Mo 0.2898 0.0044 0.6377  3 O 1.76-1.96
4 Mo 0.3702 0.7500 0.8322  4 O 1.77-1.92
5 H 0.2531 0.1433 0.8603  1 O 0.99
6 Se 0.2473 0.2500 0.3107  3 O 1.71-1.75
7 Se 0.2894 0.7500 0.1174  3 O 1.71-1.76
8 O 0.0469 0.0741 0.6454  1 Mo 1.76
9 O 0.1297 0.7500 0.8633  1 Mo 1.78
10 O 0.1488 0.5733 0.0556  1 Se 1.76
11 O 0.2018 0.2500 0.8912  2 H 0.99
12 O 0.2132 0.7500 0.2245  1 Se 1.71
13 O 0.2616 0.5665 0.5186  1 Mo 1.77
14 O 0.2693 0.7500 0.6777  2 Mo 1.96
15 O 0.3006 0.2500 0.1986  1 Se 1.71
16 O 0.3769 0.5031 0.7862  1 H 1.82, 1 Mo 1.92
17 O 0.3847 0.0601 0.3581  1 Se 1.75
18 O 0.4065 0.2500 0.6293  2 Mo 1.98
19 O 0.4723 0.2500 0.0569  1 Mo 1.77



Entry 6:
This record from the Materials Project database describes a geometry-optimized Dy3VH3O8 structure. The functional is PBE with a Hubbard U.

E (MP2020) (eV/cell): -231.7

Cell: 5.6001 10.4701 6.0300 Å, 90.00 105.95 90.00°
Last column: nearest neighbours and their distance in Å.
Space group P2_1 (No. 4)
One atom of each set of equivalent atoms:
1 Dy 0.1769 0.0000 0.3058  6 O 2.23-2.43, 1 H 2.48
2 Dy 0.1782 0.5708 0.2986  7 O 2.23-2.48
3 Dy 0.2758 0.7839 0.7800  8 O 2.32-2.58, 1 H 2.34
4 V 0.3097 0.2854 0.5433  3 O 1.73-1.94
5 H 0.2683 0.7882 0.1654  1 O 0.99
6 H 0.3418 0.4955 0.9008  1 O 0.98
7 H 0.3448 0.0688 0.9078  1 O 0.98
8 O 0.0366 0.1650 0.4661  1 V 1.94
9 O 0.0378 0.4057 0.4603  1 V 1.93
10 O 0.0843 0.7844 0.1187  1 H 0.99
11 O 0.2276 0.0075 0.9409  1 H 0.98
12 O 0.2317 0.5608 0.9346  1 H 0.98
13 O 0.4408 0.2862 0.8389  1 H 1.64, 1 V 1.73
14 O 0.4954 0.1592 0.4114  1 V 1.98
15 O 0.4977 0.4100 0.4083  1 V 1.99



Quick rundown of formation enthalpy at 0 K, same order as above: -2735 -1651 -3064 -2840 -2160 -2880 meV/atom
Quick rundown of energy, same order as above: -317.878 -223.998 -158.030 -154.926 -349.024 -217.334 eV for the cell shown